# Na2La2Ta2Si3S3O24, relaxed, DFT PBE
data_Na2La2Ta2Si3S3O24
_symmetry_space_group_name_H-M 'P 1'
_symmetry_Int_Tables_number 1
_symmetry_space_group_name_Hall 'P 1'
_cell_length_a 9.274
_cell_length_b 9.293
_cell_length_c 23.806
_cell_angle_alpha 92.38
_cell_angle_beta 90.22
_cell_angle_gamma 119.48
loop_
_atom_site_label
_atom_site_type_symbol
_atom_site_fract_x
_atom_site_fract_y
_atom_site_fract_z
Na1 Na 0.000 0.000 0.000
Na2 Na 0.032 0.994 0.503
Na3 Na 0.338 0.664 0.667
Na4 Na 0.391 0.689 0.178
Na5 Na 0.664 0.352 0.350
Na6 Na 0.730 0.359 0.834
La1 La 0.021 0.035 0.863
La2 La 0.050 0.033 0.363
La3 La 0.365 0.703 0.531
La4 La 0.376 0.706 0.030
La5 La 0.688 0.371 0.198
La6 La 0.713 0.378 0.695
Ta1 Ta 0.030 0.034 0.156
Ta2 Ta 0.047 0.051 0.649
Ta3 Ta 0.355 0.715 0.821
Ta4 Ta 0.372 0.686 0.332
Ta5 Ta 0.675 0.381 0.490
Ta6 Ta 0.722 0.392 0.980
Si1 Si 0.055 0.337 0.761
Si2 Si 0.074 0.695 0.926
Si3 Si 0.313 0.340 0.260
Si4 Si 0.396 0.357 0.595
Si5 Si 0.397 0.007 0.428
Si6 Si 0.648 0.002 0.927
Si7 Si 0.662 0.691 0.429
Si8 Si 0.717 0.667 0.094
Si9 Si 0.983 0.668 0.593
S1 S 0.057 0.421 0.420
S2 S 0.066 0.757 0.251
S3 S 0.316 0.012 0.757
S4 S 0.378 0.075 0.093
S5 S 0.396 0.415 0.923
S6 S 0.713 0.745 0.758
S7 S 0.727 0.081 0.592
S8 S 0.730 0.005 0.255
S9 S 0.979 0.337 0.091
O1 O 0.022 0.251 0.410
O2 O 0.030 0.840 0.921
O3 O 0.032 0.817 0.304
O4 O 0.050 0.239 0.815
O5 O 0.062 0.220 0.703
O6 O 0.062 0.864 0.203
O7 O 0.148 0.485 0.473
O8 O 0.151 0.469 0.086
O9 O 0.161 0.692 0.983
O10 O 0.171 0.530 0.372
O11 O 0.174 0.722 0.587
O12 O 0.177 0.677 0.869
O13 O 0.188 0.223 0.203
O14 O 0.211 0.072 0.102
O15 O 0.211 0.990 0.707
O16 O 0.213 0.172 0.599
O17 O 0.224 0.240 0.313
O18 O 0.229 0.766 0.252
O19 O 0.232 0.523 0.770
O20 O 0.247 0.034 0.809
O21 O 0.257 0.060 0.420
O22 O 0.272 0.240 0.915
O23 O 0.318 0.844 0.762
O24 O 0.321 0.528 0.267
O25 O 0.336 0.901 0.089
O26 O 0.350 0.500 0.591
O27 O 0.364 0.899 0.480
O28 O 0.368 0.477 0.977
O29 O 0.399 0.886 0.369
O30 O 0.412 0.519 0.876
O31 O 0.453 0.170 0.044
O32 O 0.476 0.149 0.145
O33 O 0.490 0.140 0.753
O34 O 0.494 0.356 0.649
O35 O 0.496 0.339 0.536
O36 O 0.502 0.378 0.256
O37 O 0.525 0.893 0.870
O38 O 0.530 0.662 0.371
O39 O 0.550 0.747 0.764
O40 O 0.565 0.418 0.929
O41 O 0.566 0.704 0.092
O42 O 0.569 0.846 0.256
O43 O 0.570 0.895 0.981
O44 O 0.578 0.707 0.484
O45 O 0.581 0.186 0.437
O46 O 0.599 0.907 0.587
O47 O 0.648 0.184 0.940
O48 O 0.658 0.506 0.432
O49 O 0.672 0.571 0.754
O50 O 0.701 0.145 0.248
O51 O 0.710 0.151 0.645
O52 O 0.710 0.564 0.146
O53 O 0.730 0.555 0.036
O54 O 0.741 0.178 0.543
O55 O 0.800 0.840 0.709
O56 O 0.810 0.816 0.810
O57 O 0.824 0.030 0.307
O58 O 0.829 0.994 0.205
O59 O 0.840 0.054 0.922
O60 O 0.846 0.835 0.419
O61 O 0.856 0.553 0.536
O62 O 0.874 0.319 0.040
O63 O 0.886 0.510 0.930
O64 O 0.894 0.852 0.103
O65 O 0.895 0.080 0.596
O66 O 0.903 0.374 0.759
O67 O 0.905 0.433 0.417
O68 O 0.906 0.562 0.647
O69 O 0.907 0.359 0.142
O70 O 0.934 0.585 0.242
O71 O 0.978 0.847 0.605
O72 O 0.982 0.172 0.096
# * formation enthalpy at 0 K: -2.75 eV/atom
# * calculated density: 3.5 g cm⁻³
# * corrected total energy (MP2020 scheme): -7.855 eV/atom
# * energy: -7.40 eV per atom

---

# Na2La6Ta2Si3S9O48, relaxed, DFT PBE
data_Na2La6Ta2Si3S9O48
_symmetry_space_group_name_H-M 'P 1'
_symmetry_Int_Tables_number 1
_symmetry_space_group_name_Hall 'P 1'
_cell_length_a 9.370
_cell_length_b 16.159
_cell_length_c 24.638
_cell_angle_alpha 89.80
_cell_angle_beta 89.94
_cell_angle_gamma 89.87
loop_
_atom_site_label
_atom_site_type_symbol
_atom_site_fract_x
_atom_site_fract_y
_atom_site_fract_z
Na1 Na 0.000 0.000 0.000
Na2 Na 0.007 0.340 0.163
Na3 Na 0.013 0.999 0.498
Na4 Na 0.520 0.499 0.007
Na5 Na 0.529 0.837 0.660
Na6 Na 0.537 0.501 0.494
La1 La 0.004 0.680 0.474
La2 La 0.010 0.338 0.313
La3 La 0.012 0.672 0.971
La4 La 0.014 0.992 0.852
La5 La 0.017 0.006 0.645
La6 La 0.024 0.998 0.149
La7 La 0.033 0.678 0.187
La8 La 0.034 0.016 0.343
La9 La 0.501 0.518 0.844
La10 La 0.512 0.499 0.647
La11 La 0.514 0.499 0.347
La12 La 0.514 0.513 0.149
La13 La 0.516 0.180 0.682
La14 La 0.524 0.838 0.813
La15 La 0.526 0.172 0.469
La16 La 0.531 0.180 0.977
La17 La 0.536 0.835 0.521
La18 La 0.998 0.333 0.024
Ta1 Ta 0.006 0.349 0.517
Ta2 Ta 0.010 0.663 0.676
Ta3 Ta 0.024 0.345 0.810
Ta4 Ta 0.509 0.842 0.307
Ta5 Ta 0.525 0.164 0.178
Ta6 Ta 0.530 0.849 0.019
Si1 Si 0.209 0.510 0.746
Si2 Si 0.327 0.010 0.246
Si3 Si 0.376 0.658 0.251
Si4 Si 0.658 0.319 0.085
Si5 Si 0.666 0.027 0.079
Si6 Si 0.730 0.348 0.418
Si7 Si 0.802 0.845 0.919
Si8 Si 0.871 0.526 0.578
Si9 Si 0.874 0.817 0.585
S1 S 0.151 0.197 0.421
S2 S 0.158 0.164 0.752
S3 S 0.163 0.847 0.742
S4 S 0.164 0.480 0.420
S5 S 0.166 0.524 0.079
S6 S 0.182 0.822 0.073
S7 S 0.235 0.173 0.085
S8 S 0.241 0.842 0.410
S9 S 0.295 0.341 0.909
S10 S 0.299 0.674 0.584
S11 S 0.354 0.321 0.574
S12 S 0.372 0.026 0.580
S13 S 0.372 0.980 0.920
S14 S 0.373 0.345 0.242
S15 S 0.384 0.697 0.920
S16 S 0.655 0.699 0.407
S17 S 0.665 0.979 0.409
S18 S 0.682 0.657 0.741
S19 S 0.684 0.358 0.752
S20 S 0.711 0.681 0.075
S21 S 0.717 0.007 0.746
S22 S 0.819 0.506 0.245
S23 S 0.824 0.182 0.576
S24 S 0.851 0.859 0.252
S25 S 0.854 0.157 0.241
S26 S 0.874 0.478 0.909
S27 S 0.882 0.199 0.907
O1 O 0.079 0.115 0.421
O2 O 0.087 0.134 0.702
O3 O 0.094 0.249 0.766
O4 O 0.095 0.247 0.467
O5 O 0.096 0.766 0.731
O6 O 0.099 0.561 0.426
O7 O 0.101 0.440 0.077
O8 O 0.102 0.884 0.793
O9 O 0.105 0.427 0.767
O10 O 0.106 0.588 0.728
O11 O 0.110 0.565 0.129
O12 O 0.114 0.442 0.369
O13 O 0.114 0.779 0.028
O14 O 0.119 0.424 0.468
O15 O 0.121 0.907 0.077
O16 O 0.126 0.239 0.368
O17 O 0.127 0.571 0.030
O18 O 0.134 0.108 0.798
O19 O 0.138 0.906 0.697
O20 O 0.139 0.101 0.090
O21 O 0.146 0.916 0.404
O22 O 0.149 0.250 0.085
O23 O 0.158 0.766 0.410
O24 O 0.163 0.777 0.125
O25 O 0.191 0.338 0.860
O26 O 0.197 0.328 0.564
O27 O 0.199 0.677 0.633
O28 O 0.208 0.676 0.241
O29 O 0.210 0.351 0.959
O30 O 0.214 0.019 0.583
O31 O 0.214 0.985 0.919
O32 O 0.216 0.335 0.248
O33 O 0.220 0.667 0.534
O34 O 0.228 0.984 0.195
O35 O 0.229 0.685 0.925
O36 O 0.230 0.031 0.299
O37 O 0.304 0.529 0.799
O38 O 0.305 0.185 0.426
O39 O 0.308 0.482 0.696
O40 O 0.312 0.177 0.743
O41 O 0.314 0.166 0.033
O42 O 0.320 0.838 0.748
O43 O 0.321 0.483 0.422
O44 O 0.323 0.517 0.080
O45 O 0.326 0.851 0.460
O46 O 0.335 0.177 0.132
O47 O 0.340 0.830 0.062
O48 O 0.342 0.840 0.361
O49 O 0.377 0.264 0.908
O50 O 0.378 0.274 0.626
O51 O 0.385 0.751 0.586
O52 O 0.388 0.414 0.902
O53 O 0.395 0.602 0.590
O54 O 0.397 0.403 0.196
O55 O 0.406 0.598 0.303
O56 O 0.408 0.072 0.531
O57 O 0.409 0.738 0.867
O58 O 0.413 0.925 0.967
O59 O 0.416 0.405 0.579
O60 O 0.422 0.943 0.868
O61 O 0.425 0.278 0.530
O62 O 0.426 0.068 0.630
O63 O 0.429 0.089 0.227
O64 O 0.430 0.929 0.267
O65 O 0.435 0.062 0.925
O66 O 0.435 0.380 0.292
O67 O 0.436 0.942 0.580
O68 O 0.439 0.263 0.230
O69 O 0.441 0.746 0.966
O70 O 0.445 0.754 0.268
O71 O 0.453 0.625 0.196
O72 O 0.456 0.614 0.920
O73 O 0.582 0.934 0.066
O74 O 0.591 0.616 0.403
O75 O 0.592 0.059 0.411
O76 O 0.593 0.413 0.088
O77 O 0.594 0.077 0.133
O78 O 0.601 0.735 0.459
O79 O 0.605 0.253 0.135
O80 O 0.606 0.280 0.027
O81 O 0.608 0.931 0.362
O82 O 0.610 0.754 0.361
O83 O 0.612 0.615 0.695
O84 O 0.613 0.398 0.798
O85 O 0.614 0.610 0.079
O86 O 0.617 0.758 0.064
O87 O 0.622 0.741 0.746
O88 O 0.623 0.934 0.748
O89 O 0.625 0.274 0.743
O90 O 0.627 0.083 0.740
O91 O 0.631 0.080 0.025
O92 O 0.634 0.431 0.420
O93 O 0.638 0.933 0.461
O94 O 0.639 0.265 0.427
O95 O 0.662 0.610 0.792
O96 O 0.676 0.407 0.702
O97 O 0.683 0.851 0.971
O98 O 0.694 0.850 0.266
O99 O 0.696 0.163 0.231
O100 O 0.698 0.822 0.588
O101 O 0.705 0.508 0.589
O102 O 0.712 0.837 0.863
O103 O 0.719 0.488 0.901
O104 O 0.726 0.195 0.907
O105 O 0.730 0.166 0.530
O106 O 0.730 0.494 0.197
O107 O 0.732 0.511 0.295
O108 O 0.740 0.196 0.626
O109 O 0.791 0.697 0.125
O110 O 0.806 0.015 0.795
O111 O 0.806 0.669 0.028
O112 O 0.808 0.998 0.697
O113 O 0.811 0.695 0.408
O114 O 0.822 0.990 0.404
O115 O 0.825 0.337 0.363
O116 O 0.833 0.008 0.088
O117 O 0.835 0.321 0.088
O118 O 0.840 0.663 0.730
O119 O 0.842 0.346 0.766
O120 O 0.851 0.351 0.471
O121 O 0.862 0.909 0.202
O122 O 0.874 0.110 0.292
O123 O 0.899 0.764 0.927
O124 O 0.899 0.929 0.920
O125 O 0.901 0.431 0.959
O126 O 0.906 0.582 0.526
O127 O 0.907 0.581 0.240
O128 O 0.909 0.776 0.244
O129 O 0.914 0.241 0.246
O130 O 0.915 0.257 0.565
O131 O 0.917 0.432 0.247
O132 O 0.922 0.110 0.582
O133 O 0.922 0.900 0.298
O134 O 0.923 0.115 0.195
O135 O 0.928 0.254 0.860
O136 O 0.929 0.753 0.636
O137 O 0.931 0.781 0.528
O138 O 0.932 0.428 0.860
O139 O 0.937 0.234 0.958
O140 O 0.941 0.911 0.590
O141 O 0.944 0.576 0.633
O142 O 0.947 0.116 0.901
O143 O 0.948 0.557 0.908
O144 O 0.955 0.433 0.565
# * formation enthalpy at 0 K: -2.72 eV/atom
# * calculated density: 3.2 g cm⁻³
# * corrected total energy (MP2020 scheme): -7.678 eV/atom
# * energy: -7.21 eV per atom

---

> The lowest formation enthalpy at 0 K belongs to which entry?

Na2La2Ta2Si3S3O24

---

> Which value of formation enthalpy at 0 K does entry 2 give?

-2.72 eV/atom